# La3Mo2O10

La3Mo2O10 after structural relaxation (GGA+U, the Materials Project database).

Properties
ΔE_f ... -44.3 eV per formula unit

Structure (extended XYZ):
```
15
Lattice="5.668 0.000 0.000 2.610 5.734 0.000 2.825 0.220 6.750" Properties=species:S:1:pos:R:3 pbc="T T T"
La 8.332 3.647 5.335
La 2.642 2.181 1.363
La 5.512 1.334 4.023
Mo 2.722 0.286 6.143
Mo 5.173 4.639 2.619
O 6.893 5.363 5.188
O 7.743 4.423 0.448
O 3.947 3.156 3.307
O 4.329 5.440 4.566
O 6.950 1.764 6.148
O 4.998 3.909 0.992
O 1.281 0.320 2.153
O 6.613 3.325 3.185
O 3.968 1.897 6.225
O 3.837 0.277 2.476
```